A relaxed structure of UMoC2. Source: the Materials Project, functional r²SCAN.

a b c (Å): 5.623 3.218 11.033
angles (deg): 90.00 90.00 90.00
Space group Pnma (No. 62)
One atom of each set of equivalent atoms:
1 U 0.079 0.250 0.142
2 Mo 0.078 0.750 0.400
3 C 0.161 0.250 0.756
4 C 0.248 0.750 0.993

## Properties
The calculation puts the energy of formation at -388 meV/atom. As for the crystal system: orthorhombic. The value obtained for the total energy is -31.865 eV/atom.

=====

A relaxed structure of YMoC2. Source: the Materials Project, functional r²SCAN.

a b c (Å): 5.703 3.397 10.753
angles (deg): 90.00 90.00 90.00
Space group Pnma (No. 62)
One atom of each set of equivalent atoms:
1 Y 0.087 0.250 0.138
2 Mo 0.098 0.750 0.390
3 C 0.158 0.250 0.753
4 C 0.221 0.250 0.482

## Properties
The calculation puts the energy of formation at -371 meV/atom. As for the crystal system: orthorhombic. The value obtained for the total energy is -16.941 eV/atom.

=====

A relaxed structure of NaCNO. Source: the Materials Project, functional r²SCAN.

a b c (Å): 3.5567 3.5567 15.0544
angles (deg): 90.00 90.00 120.00
Space group R3m (No. 160, hexagonal axes)
One atom of each set of equivalent atoms:
1 Na 0.0000 0.0000 0.0000
2 C 0.0000 0.0000 0.5032
3 N 0.0000 0.0000 0.5819
4 O 0.0000 0.0000 0.4218

## Properties
The calculation puts the energy of formation at -1041 meV/atom. As for the crystal system: trigonal. The value obtained for the total energy is -8.195 eV/atom.

=====

Question: Among the records above, which one has the lowest energy of formation?
Answer: NaCNO